1.
TaSe2, optimized geometry, DFT PBE; DFT total energy = -21.29 eV per cell; space group = R3m, No. 160; ΔE_f = -3.386 eV per formula unit
1.0
-2.0052 0.8345 -6.8679
-4.0586 -1.7187 -5.6973
-4.8743 1.6023 -5.0556
Ta Se
1 2
direct
0.9998 0.9998 0.9998
0.7476 0.7476 0.7476
0.5856 0.5856 0.5856


2.
TaSe2, optimized geometry, DFT PBE; DFT total energy = -42.57 eV per cell; space group = P6_3/mmc, No. 194; ΔE_f = -3.379 eV per formula unit
1.0
-1.8132 1.3212 -2.6547
-1.4588 -0.2560 3.1443
4.6881 12.9175 3.2267
Se Ta
4 2
direct
0.6667 0.3333 0.1313
0.6667 0.3333 0.3687
0.3333 0.6667 0.6313
0.3333 0.6667 0.8687
0.3333 0.6667 0.2500
0.6667 0.3333 0.7500


3.
TaSe3, optimized geometry, DFT PBE; DFT total energy = -149.45 eV per cell; space group = P2_1/m, No. 11; ΔE_f = -3.979 eV per formula unit
1.0
-3.2676 -0.0042 -1.3121
3.2329 -5.9206 -8.0323
-1.5183 -15.2715 3.8302
Se Ta
18 6
direct
0.7500 0.2643 0.9186
0.2500 0.0390 0.4065
0.7500 0.9169 0.2762
0.7500 0.9610 0.5935
0.2500 0.6734 0.4244
0.2500 0.7222 0.7520
0.7500 0.4441 0.7646
0.2500 0.3785 0.0678
0.7500 0.0901 0.0891
0.7500 0.6215 0.9322
0.7500 0.2778 0.2480
0.2500 0.9099 0.9109
0.2500 0.7357 0.0814
0.7500 0.3164 0.4243
0.2500 0.0831 0.7238
0.7500 0.3266 0.5756
0.2500 0.5559 0.2354
0.2500 0.6836 0.5757
0.2500 0.1597 0.5395
0.7500 0.5318 0.1163
0.2500 0.4682 0.8837
0.2500 0.1169 0.2074
0.7500 0.8403 0.4605
0.7500 0.8831 0.7926


4.
TaSe2, optimized geometry, DFT PBE; DFT total energy = -85.14 eV per cell; space group = P6_3mc, No. 186; ΔE_f = -3.379 eV per formula unit
1.0
1.7374 -3.0093 0.0000
1.7374 3.0093 0.0000
0.0000 0.0000 28.5216
Ta Se
4 8
direct
0.6667 0.3333 0.1214
0.3333 0.6667 0.6214
0.6667 0.3333 0.3739
0.3333 0.6667 0.8739
0.3333 0.6667 0.3151
0.0000 0.0000 0.1802
0.0000 0.0000 0.0626
0.6667 0.3333 0.8151
0.6667 0.3333 0.9328
0.0000 0.0000 0.5626
0.0000 0.0000 0.6802
0.3333 0.6667 0.4328


5.
TaSe2, optimized geometry, DFT PBE; DFT total energy = -21.22 eV per cell; space group = R-3m, No. 166; ΔE_f = -3.319 eV per formula unit
1.0
0.4226 1.7515 -3.0040
0.4226 -1.7515 -3.0040
-6.8370 0.0000 -3.0040
Ta Se
1 2
direct
0.0000 0.0000 0.0000
0.2566 0.2566 0.2303
0.7434 0.7434 0.7697


6.
TaSe2, optimized geometry, DFT PBE; DFT total energy = -85.12 eV per cell; space group = P-6m2, No. 187; ΔE_f = -3.374 eV per formula unit
1.0
-1.3070 2.4520 -2.0867
-0.6381 0.1031 3.4142
22.4678 15.1598 3.7414
Se Ta
8 4
direct
0.3333 0.6667 0.5614
0.0000 0.0000 0.1887
0.0000 0.0000 0.8113
0.0000 0.0000 0.6884
0.0000 0.0000 0.3116
0.6667 0.3333 0.9386
0.3333 0.6667 0.4386
0.6667 0.3333 0.0614
0.3333 0.6667 0.0000
0.6667 0.3333 0.5000
0.6667 0.3333 0.7498
0.6667 0.3333 0.2502


7.
TaSe2, optimized geometry, DFT PBE; DFT total energy = -1106.42 eV per cell; M_tot = 0.01 μB/atom; space group = P6_3/m, No. 176; ΔE_f = -3.372 eV per formula unit
1.0
-10.9276 5.9049 1.9459
2.3708 -5.3262 -11.1390
-11.0724 -23.4009 8.8326
Ta Se
52 104
direct
0.0000 0.0000 0.0000
0.4862 0.8473 0.0006
0.2328 0.9236 0.7500
0.3843 0.5393 0.2500
0.7845 0.0693 0.0000
0.6389 0.4862 0.5006
0.4614 0.8468 0.7500
0.5386 0.1532 0.2500
0.9307 0.7153 0.5000
0.0000 0.0000 0.7500
0.6389 0.4862 0.9994
0.0693 0.2847 0.5000
0.7687 0.0785 0.7500
0.3092 0.2328 0.2500
0.2847 0.2155 0.0000
0.0785 0.3099 0.2500
0.6901 0.7687 0.2500
0.7153 0.7845 0.5000
0.0764 0.3092 0.7500
0.3099 0.2313 0.7500
0.5138 0.1527 0.9994
0.9307 0.7153 0.0000
0.1527 0.6389 0.4994
0.4607 0.8451 0.2500
0.7153 0.7845 0.0000
0.4862 0.8473 0.4994
0.8473 0.3611 0.9994
0.0000 0.0000 0.2500
0.2155 0.9307 0.5000
0.7672 0.0764 0.2500
0.6908 0.7672 0.7500
0.3854 0.5386 0.7500
0.5138 0.1527 0.5006
0.2155 0.9307 0.0000
0.3611 0.5138 0.4994
0.0000 0.0000 0.5000
0.5393 0.1549 0.7500
0.9215 0.6901 0.7500
0.1549 0.6157 0.2500
0.8451 0.3843 0.7500
0.1532 0.6146 0.7500
0.6146 0.4614 0.2500
0.3611 0.5138 0.0006
0.2847 0.2155 0.5000
0.8473 0.3611 0.5006
0.1527 0.6389 0.0006
0.0693 0.2847 0.0000
0.8468 0.3854 0.2500
0.9236 0.6908 0.2500
0.6157 0.4607 0.7500
0.7845 0.0693 0.5000
0.2313 0.9215 0.2500
0.9746 0.5637 0.8113
0.4067 0.9708 0.5569
0.7431 0.6405 0.8114
0.0292 0.4359 0.5569
0.5891 0.0254 0.8113
0.1802 0.0509 0.3107
0.5641 0.5933 0.5569
0.8255 0.9495 0.4342
0.7498 0.6475 0.4358
0.3333 0.6667 0.1883
0.8761 0.8255 0.5658
0.3525 0.1023 0.0642
0.5637 0.5891 0.3113
0.8038 0.5149 0.9418
0.5149 0.7111 0.4418
0.9495 0.1239 0.5658
0.8198 0.9491 0.8107
0.6667 0.3333 0.4428
0.6475 0.8977 0.5642
0.8977 0.2502 0.0642
0.6667 0.3333 0.8117
0.5933 0.0292 0.4431
0.5128 0.7184 0.8113
0.5641 0.5933 0.9431
0.7111 0.1962 0.9418
0.5149 0.7111 0.0582
0.2056 0.4872 0.6887
0.9708 0.5641 0.0569
0.1026 0.7431 0.1886
0.5637 0.5891 0.1887
0.1745 0.0505 0.9342
0.3333 0.6667 0.5572
0.4359 0.4067 0.4431
0.1026 0.7431 0.3114
0.4363 0.4109 0.6887
0.0254 0.4363 0.3113
0.2889 0.8038 0.0582
0.8761 0.8255 0.9342
0.8707 0.8198 0.3107
0.9495 0.1239 0.9342
0.4109 0.9746 0.1887
0.5933 0.0292 0.0569
0.0505 0.8761 0.0658
0.2056 0.4872 0.8113
0.1962 0.4851 0.4418
0.5128 0.7184 0.6887
0.6667 0.3333 0.6883
0.9746 0.5637 0.6887
0.4363 0.4109 0.8113
0.1023 0.7498 0.9358
0.1802 0.0509 0.1893
0.2889 0.8038 0.4418
0.1239 0.1745 0.4342
0.6667 0.3333 0.0572
0.8707 0.8198 0.1893
0.8977 0.2502 0.4358
0.3595 0.1026 0.6886
0.0292 0.4359 0.9431
0.4851 0.2889 0.9418
0.7944 0.5128 0.1887
0.4851 0.2889 0.5582
0.3595 0.1026 0.8114
0.8038 0.5149 0.5582
0.6475 0.8977 0.9358
0.7111 0.1962 0.5582
0.9491 0.1293 0.3107
0.2569 0.3595 0.3114
0.2502 0.3525 0.9358
0.7184 0.2056 0.3113
0.4067 0.9708 0.9431
0.8974 0.2569 0.8114
0.8198 0.9491 0.6893
0.0505 0.8761 0.4342
0.8255 0.9495 0.0658
0.4872 0.2816 0.1887
0.0509 0.8707 0.8107
0.7498 0.6475 0.0642
0.2816 0.7944 0.8113
0.5891 0.0254 0.6887
0.4109 0.9746 0.3113
0.1293 0.1802 0.6893
0.1745 0.0505 0.5658
0.3333 0.6667 0.3117
0.6405 0.8974 0.3114
0.8974 0.2569 0.6886
0.7431 0.6405 0.6886
0.0509 0.8707 0.6893
0.0254 0.4363 0.1887
0.1023 0.7498 0.5642
0.9491 0.1293 0.1893
0.4872 0.2816 0.3113
0.1962 0.4851 0.0582
0.2569 0.3595 0.1886
0.1239 0.1745 0.0658
0.3525 0.1023 0.4358
0.2816 0.7944 0.6887
0.2502 0.3525 0.5642
0.6405 0.8974 0.1886
0.7184 0.2056 0.1887
0.1293 0.1802 0.8107
0.4359 0.4067 0.0569
0.3333 0.6667 0.9428
0.9708 0.5641 0.4431
0.7944 0.5128 0.3113


8.
TaSe2, optimized geometry, DFT PBE; DFT total energy = -85.01 eV per cell; space group = P6_3/mmc, No. 194; ΔE_f = -3.346 eV per formula unit
1.0
1.7440 -3.0207 0.0000
1.7440 3.0207 0.0000
0.0000 0.0000 27.2481
Ta Se
4 8
direct
0.0000 0.0000 0.7500
0.0000 0.0000 0.5000
0.0000 0.0000 0.0000
0.0000 0.0000 0.2500
0.6667 0.3333 0.9390
0.6667 0.3333 0.5610
0.6667 0.3333 0.3114
0.6667 0.3333 0.1886
0.3333 0.6667 0.8114
0.3333 0.6667 0.4390
0.3333 0.6667 0.0610
0.3333 0.6667 0.6886


9.
TaSe3, optimized geometry, DFT PBE; DFT total energy = -99.83 eV per cell; space group = P2_1/m, No. 11; ΔE_f = -4.029 eV per formula unit
1.0
-2.6007 1.9378 1.3660
-5.8269 -1.9235 -8.3653
-5.8495 -9.0378 1.6838
Se Ta
12 4
direct
0.2500 0.7531 0.3944
0.2500 0.1183 0.3976
0.2500 0.7954 0.8675
0.7500 0.8817 0.6024
0.2500 0.4304 0.9193
0.2500 0.5886 0.6442
0.7500 0.4114 0.3558
0.7500 0.2469 0.6056
0.7500 0.5696 0.0807
0.7500 0.0683 0.8367
0.7500 0.2046 0.1325
0.2500 0.9317 0.1633
0.7500 0.6285 0.8098
0.2500 0.0420 0.6670
0.7500 0.9580 0.3330
0.2500 0.3715 0.1902


10.
TaSe2, optimized geometry, DFT PBE; DFT total energy = -21.21 eV per cell; space group = P-3m1, No. 164; ΔE_f = -3.307 eV per formula unit
1.0
1.2448 1.2069 -3.0393
-3.0272 -1.7531 0.0782
-3.3672 5.8567 0.9466
Se Ta
2 1
direct
0.3333 0.6667 0.2432
0.6667 0.3333 0.7568
0.0000 0.0000 0.0000


11.
TaSe2, optimized geometry, DFT PBE; DFT total energy = -42.53 eV per cell; space group = R3m, No. 160; ΔE_f = -3.361 eV per formula unit
1.0
-1.3346 -2.2942 -2.2715
0.4784 0.4580 -3.4301
11.1828 -7.9033 -1.2746
Se Ta
4 2
direct
0.2095 0.2095 0.3715
0.3756 0.3756 0.8731
0.6242 0.6242 0.1275
0.4574 0.4574 0.6279
0.0831 0.0831 0.7506
0.9168 0.9168 0.2495


12.
TaSe2, optimized geometry, DFT PBE; DFT total energy = -42.56 eV per cell; space group = P6_3/mmc, No. 194; ΔE_f = -3.375 eV per formula unit
1.0
-3.3281 0.7331 0.6758
1.0968 -3.2962 0.0469
2.9654 1.1762 13.3267
Se Ta
4 2
direct
0.6667 0.3333 0.8728
0.6667 0.3333 0.6272
0.3333 0.6667 0.1272
0.3333 0.6667 0.3728
0.0000 0.0000 0.7500
0.0000 0.0000 0.2500


13.
Ta24Ti5Se48, optimized geometry, DFT PBE; DFT total energy = -544.71 eV per cell; M_tot = 0.00 μB/atom; space group = R-3, No. 148; ΔE_f = -75.501 eV per formula unit
1.0
13.5692 -6.0747 0.0000
13.5692 6.0747 0.0000
10.8497 0.0000 10.1641
Se Ti Ta
48 5 24
direct
0.1225 0.4608 0.7944
0.5449 0.7039 0.3728
0.3837 0.0323 0.2079
0.4619 0.6289 0.7900
0.6163 0.9677 0.7921
0.0366 0.3776 0.7094
0.2338 0.0384 0.8306
0.0510 0.6914 0.8622
0.3728 0.5449 0.7039
0.0323 0.2079 0.3837
0.4551 0.2961 0.6272
0.2056 0.8775 0.5392
0.1206 0.2927 0.4555
0.2906 0.9634 0.6224
0.8306 0.2338 0.0384
0.7900 0.4619 0.6289
0.5392 0.2056 0.8775
0.3086 0.1378 0.9490
0.4608 0.7944 0.1225
0.7662 0.9616 0.1694
0.7039 0.3728 0.5449
0.8622 0.0510 0.6914
0.2927 0.4555 0.1206
0.9490 0.3086 0.1378
0.7094 0.0366 0.3776
0.8775 0.5392 0.2056
0.6914 0.8622 0.0510
0.2961 0.6272 0.4551
0.3711 0.2100 0.5381
0.1378 0.9490 0.3086
0.7921 0.6163 0.9677
0.1694 0.7662 0.9616
0.6289 0.7900 0.4619
0.5381 0.3711 0.2100
0.9634 0.6224 0.2906
0.7944 0.1225 0.4608
0.2100 0.5381 0.3711
0.6224 0.2906 0.9634
0.9677 0.7921 0.6163
0.2079 0.3837 0.0323
0.8794 0.7073 0.5445
0.7073 0.5445 0.8794
0.6272 0.4551 0.2961
0.9616 0.1694 0.7662
0.5445 0.8794 0.7073
0.4555 0.1206 0.2927
0.0384 0.8306 0.2338
0.3776 0.7094 0.0366
0.8972 0.8972 0.8972
0.6726 0.6726 0.6726
0.1028 0.1028 0.1028
0.5000 0.5000 0.5000
0.3274 0.3274 0.3274
0.5813 0.0939 0.5747
0.0939 0.5747 0.5813
0.1744 0.1744 0.1744
0.8256 0.8256 0.8256
0.4163 0.4163 0.4163
0.9061 0.4253 0.4187
0.2452 0.2542 0.7508
0.4253 0.4187 0.9061
0.7508 0.2452 0.2542
0.0785 0.5966 0.0735
0.4187 0.9061 0.4253
0.9265 0.9215 0.4034
0.7548 0.7458 0.2492
0.2542 0.7508 0.2452
0.5747 0.5813 0.0939
0.9215 0.4034 0.9265
0.5966 0.0735 0.0785
0.7458 0.2492 0.7548
0.0735 0.0785 0.5966
0.2492 0.7548 0.7458
0.4034 0.9265 0.9215
0.0380 0.0380 0.0380
0.9620 0.9620 0.9620
0.5837 0.5837 0.5837